Entry 1:
meta-GGA r2SCAN Mn3GaC, relaxed; SG = Pm-3m (221)
1.0
-3.754 0.659 -1.134
0.770 -1.675 -3.524
-1.061 -3.546 1.454
Mn Ga C
3 1 1
Direct
0.000 0.500 0.500
0.500 0.500 0.000
0.500 0.000 0.500
0.000 0.000 0.000
0.500 0.500 0.500



Entry 2:
meta-GGA r2SCAN Nb2GaC, relaxed; SG = P6_3/mmc (194)
1.0
-2.011 1.640 -1.785
1.166 -2.732 -1.046
-10.434 -6.624 5.669
Nb Ga C
4 2 2
Direct
0.333 0.667 0.409
0.667 0.333 0.591
0.667 0.333 0.909
0.333 0.667 0.091
0.333 0.667 0.750
0.667 0.333 0.250
0.000 0.000 0.500
0.000 0.000 0.000



Entry 3:
meta-GGA r2SCAN Tb3GaC, relaxed; SG = Pm-3m (221)
1.0
-4.865 -0.232 0.060
0.195 -4.542 -1.751
0.139 -1.746 4.546
Tb Ga C
3 1 1
Direct
0.500 0.000 0.000
0.000 0.500 0.000
0.000 0.000 0.500
0.500 0.500 0.500
0.000 0.000 0.000



Entry 4:
meta-GGA r2SCAN Ti4GaC3, relaxed; SG = P6_3/mmc (194)
1.0
-2.697 -0.983 1.126
2.237 -2.025 -0.631
8.175 2.305 21.583
Ti Ga C
8 2 6
Direct
0.000 0.000 0.345
0.000 0.000 0.655
0.000 0.000 0.845
0.000 0.000 0.155
0.333 0.667 0.448
0.667 0.333 0.552
0.667 0.333 0.948
0.333 0.667 0.052
0.333 0.667 0.250
0.667 0.333 0.750
0.000 0.000 0.500
0.000 0.000 0.000
0.667 0.333 0.390
0.333 0.667 0.610
0.333 0.667 0.890
0.667 0.333 0.110



Entry 5:
meta-GGA r2SCAN Ti2GaC, relaxed; SG = P6_3/mmc (194)
1.0
3.070 0.000 0.000
-1.535 2.659 0.000
0.000 0.000 13.337
Ti Ga C
4 2 2
Direct
0.333 0.667 0.086
0.667 0.333 0.586
0.667 0.333 0.914
0.333 0.667 0.414
0.333 0.667 0.750
0.667 0.333 0.250
0.000 0.000 0.500
0.000 0.000 0.000



Entry 6:
meta-GGA r2SCAN V2GaC, relaxed; SG = P6_3/mmc (194)
1.0
1.450 1.443 -2.082
-1.843 -2.145 -0.724
-9.551 8.470 -0.780
V Ga C
4 2 2
Direct
0.333 0.667 0.414
0.667 0.333 0.586
0.667 0.333 0.914
0.333 0.667 0.086
0.333 0.667 0.750
0.667 0.333 0.250
0.000 0.000 0.500
0.000 0.000 0.000



Entry 7:
meta-GGA r2SCAN Y3GaC, relaxed; SG = Pm-3m (221)
1.0
4.854 0.000 0.000
0.000 4.854 0.000
0.000 0.000 4.854
Y Ga C
3 1 1
Direct
0.500 0.000 0.500
0.500 0.500 0.000
0.000 0.500 0.500
0.000 0.000 0.000
0.500 0.500 0.500



Entry 8:
meta-GGA r2SCAN Yb3GaC, relaxed; SG = Pm-3m (221)
1.0
4.715 0.000 0.000
0.000 4.715 0.000
0.000 0.000 4.715
Yb Ga C
3 1 1
Direct
0.500 0.000 0.500
0.500 0.500 0.000
0.000 0.500 0.500
0.000 0.000 0.000
0.500 0.500 0.500



What are the formation energy from the elements values for these records? In order: -0.23 -0.56 -0.57 -0.93 -0.84 -0.57 -0.61 -0.69 eV/atom.